This record from Materials Project describes an optimized crystal structure of Sr2CuWO6. The functional is PBE with a Hubbard U.

Geometry as CIF:
```
data_Sr2CuWO6
_chemical_formula_sum 'Sr4 Cu2 W2 O12'
_cell_length_a 5.456
_cell_length_b 5.456
_cell_length_c 8.725
_cell_angle_alpha 90.00
_cell_angle_beta 90.00
_cell_angle_gamma 90.00
_space_group_name_H-M_alt 'I 4/m'
_space_group_IT_number 87
_space_group_name_Hall '-I 4'
loop_
_atom_site_label
_atom_site_fract_x
_atom_site_fract_y
_atom_site_fract_z
Sr1 0.000 0.500 0.250
Cu1 0.000 0.000 0.000
W1 0.000 0.000 0.500
O1 0.000 0.000 0.275
O2 0.193 0.301 0.500
```

Properties
- calculated volume (A^3/atom) = 12.99
- formation energy from the elements (eV/atom) = -2.47
- total DFT energy (no corrections) (eV/atom) = -6.63


This record from Materials Project describes an optimized crystal structure of Sr2Cu2WO7. The functional is PBE with a Hubbard U.

Geometry as CIF:
```
data_Sr2Cu2WO7
_chemical_formula_sum 'Sr8 Cu8 W4 O28'
_cell_length_a 7.478
_cell_length_b 26.135
_cell_length_c 5.268
_cell_angle_alpha 90.00
_cell_angle_beta 134.26
_cell_angle_gamma 90.00
_space_group_name_H-M_alt 'C 1 m 1'
_space_group_IT_number 8
loop_
_space_group_symop_operation_xyz
'x,y,z'
'x,-y,z'
'x+1/2,y+1/2,z'
'x+1/2,-y+1/2,z'
loop_
_atom_site_label
_atom_site_fract_x
_atom_site_fract_y
_atom_site_fract_z
Sr1 0.000 0.115 0.000
Sr2 0.004 0.384 0.019
Cu1 0.005 0.189 0.510
Cu2 0.498 0.189 0.508
W1 0.006 0.500 0.612
W2 0.075 0.000 0.471
O1 0.005 0.066 0.508
O2 0.248 0.173 0.506
O3 0.249 0.325 0.507
O4 0.254 0.175 0.011
O5 0.255 0.327 0.012
O6 0.392 0.500 0.975
O7 0.442 0.000 0.923
O8 0.484 0.067 0.477
```

Properties
- calculated volume (A^3/atom) = 15.36
- formation energy from the elements (eV/atom) = -1.82
- total DFT energy (no corrections) (eV/atom) = -5.98


This record from Materials Project describes an optimized crystal structure of Sr4ZnCuW2O12. The functional is PBE with a Hubbard U.

Geometry as CIF:
```
data_Sr4ZnCuW2O12
_chemical_formula_sum 'Sr4 Zn1 Cu1 W2 O12'
_cell_length_a 5.637
_cell_length_b 5.637
_cell_length_c 8.227
_cell_angle_alpha 90.00
_cell_angle_beta 90.00
_cell_angle_gamma 90.00
_space_group_name_H-M_alt 'P 4/m'
_space_group_IT_number 83
loop_
_space_group_symop_operation_xyz
'x,y,z'
'-x,-y,-z'
'-y,x,z'
'y,-x,-z'
'-x,-y,z'
'x,y,-z'
'y,-x,z'
'-y,x,-z'
loop_
_atom_site_label
_atom_site_fract_x
_atom_site_fract_y
_atom_site_fract_z
Sr1 0.000 0.500 0.250
Zn1 0.000 0.000 0.000
Cu1 0.500 0.500 0.500
W1 0.000 0.000 0.500
W2 0.500 0.500 0.000
O1 0.000 0.000 0.262
O2 0.203 0.718 0.500
O3 0.218 0.299 0.000
O4 0.500 0.500 0.237
```

Properties
- calculated volume (A^3/atom) = 13.07
- formation energy from the elements (eV/atom) = -2.57
- total DFT energy (no corrections) (eV/atom) = -6.59


This record from Materials Project describes an optimized crystal structure of TiV4CuO12. The functional is PBE with a Hubbard U.

Geometry as CIF:
```
data_TiV4CuO12
_chemical_formula_sum 'Ti2 V8 Cu2 O24'
_cell_length_a 10.057
_cell_length_b 9.134
_cell_length_c 5.818
_cell_angle_alpha 90.00
_cell_angle_beta 110.40
_cell_angle_gamma 90.00
_space_group_name_H-M_alt 'C 1 2 1'
_space_group_IT_number 5
loop_
_space_group_symop_operation_xyz
'x,y,z'
'-x,y,-z'
'x+1/2,y+1/2,z'
'-x+1/2,y+1/2,-z'
loop_
_atom_site_label
_atom_site_fract_x
_atom_site_fract_y
_atom_site_fract_z
Ti1 0.000 0.000 0.000
V1 0.202 0.316 0.983
V2 0.205 0.502 0.493
Cu1 0.000 0.814 0.500
O1 0.109 0.990 0.363
O2 0.114 0.831 0.910
O3 0.132 0.406 0.695
O4 0.136 0.135 0.967
O5 0.146 0.414 0.198
O6 0.148 0.676 0.460
```

Properties
- calculated volume (A^3/atom) = 13.91
- formation energy from the elements (eV/atom) = -2.34
- total DFT energy (no corrections) (eV/atom) = -7.48


This record from Materials Project describes an optimized crystal structure of TlV3Cu5O13. The functional is PBE with a Hubbard U.

Geometry as CIF:
```
data_TlV3Cu5O13
_chemical_formula_sum 'Tl2 V6 Cu10 O26'
_cell_length_a 6.204
_cell_length_b 8.320
_cell_length_c 10.928
_cell_angle_alpha 97.56
_cell_angle_beta 92.74
_cell_angle_gamma 90.69
_space_group_name_H-M_alt 'P -1'
_space_group_IT_number 2
loop_
_space_group_symop_operation_xyz
'x,y,z'
'-x,-y,-z'
loop_
_atom_site_label
_atom_site_fract_x
_atom_site_fract_y
_atom_site_fract_z
Tl1 0.249 0.021 0.406
V1 0.240 0.620 0.494
V2 0.257 0.972 0.792
V3 0.260 0.679 0.121
Cu1 0.003 0.604 0.773
Cu2 0.230 0.105 0.106
Cu3 0.255 0.309 0.648
Cu4 0.266 0.354 0.941
Cu5 0.495 0.394 0.230
O1 0.005 0.726 0.465
O2 0.021 0.618 0.186
O3 0.023 0.842 0.781
O4 0.233 0.343 0.120
O5 0.239 0.881 0.116
O6 0.243 0.551 0.659
O7 0.253 0.079 0.667
O8 0.255 0.460 0.382
O9 0.269 0.117 0.926
O10 0.273 0.588 0.968
O11 0.454 0.745 0.480
O12 0.478 0.843 0.783
O13 0.488 0.369 0.799
```

Properties
- calculated volume (A^3/atom) = 12.69
- formation energy from the elements (eV/atom) = -1.58
- total DFT energy (no corrections) (eV/atom) = -6.15


This record from Materials Project describes an optimized crystal structure of TmCuW2O8. The functional is PBE with a Hubbard U.

Geometry as CIF:
```
data_TmCuW2O8
_chemical_formula_sum 'Tm2 Cu2 W4 O16'
_cell_length_a 5.080
_cell_length_b 5.966
_cell_length_c 10.959
_cell_angle_alpha 90.00
_cell_angle_beta 114.90
_cell_angle_gamma 90.00
_space_group_name_H-M_alt 'P 1 2/c 1'
_space_group_IT_number 13
loop_
_space_group_symop_operation_xyz
'x,y,z'
'-x,-y,-z'
'-x,y,-z+1/2'
'x,-y,z+1/2'
loop_
_atom_site_label
_atom_site_fract_x
_atom_site_fract_y
_atom_site_fract_z
Tm1 0.000 0.166 0.250
Cu1 0.500 0.213 0.750
W1 0.238 0.330 0.989
O1 0.162 0.409 0.611
O2 0.217 0.135 0.114
O3 0.268 0.136 0.864
O4 0.338 0.386 0.402
```

Properties
- calculated volume (A^3/atom) = 12.55
- formation energy from the elements (eV/atom) = -2.39
- total DFT energy (no corrections) (eV/atom) = -7.37


This record from Materials Project describes an optimized crystal structure of UVCuO10. The functional is PBE with a Hubbard U.

Geometry as CIF:
```
data_UVCuO10
_chemical_formula_sum 'U4 V4 Cu4 O40'
_cell_length_a 9.766
_cell_length_b 8.234
_cell_length_c 10.739
_cell_angle_alpha 90.00
_cell_angle_beta 105.37
_cell_angle_gamma 90.00
_space_group_name_H-M_alt 'P 1 21/c 1'
_space_group_IT_number 14
loop_
_space_group_symop_operation_xyz
'x,y,z'
'-x,-y,-z'
'-x,y+1/2,-z+1/2'
'x,-y+1/2,z+1/2'
loop_
_atom_site_label
_atom_site_fract_x
_atom_site_fract_y
_atom_site_fract_z
U1 0.004 0.017 0.321
V1 0.089 0.640 0.560
Cu1 0.433 0.038 0.100
O1 0.012 0.058 0.105
O2 0.043 0.654 0.000
O3 0.066 0.710 0.717
O4 0.181 0.041 0.732
O5 0.190 0.077 0.370
O6 0.262 0.605 0.575
O7 0.407 0.194 0.618
O8 0.415 0.076 0.929
O9 0.471 0.619 0.836
O10 0.486 0.030 0.284
```

Properties
- calculated volume (A^3/atom) = 16.01
- formation energy from the elements (eV/atom) = -1.31
- total DFT energy (no corrections) (eV/atom) = -6.87


This record from Materials Project describes an optimized crystal structure of V6Cu2O15. The functional is PBE with a Hubbard U.

Geometry as CIF:
```
data_V6Cu2O15
_chemical_formula_sum 'V6 Cu2 O15'
_cell_length_a 3.702
_cell_length_b 7.877
_cell_length_c 10.196
_cell_angle_alpha 105.46
_cell_angle_beta 90.38
_cell_angle_gamma 103.35
_space_group_name_H-M_alt 'P -1'
_space_group_IT_number 2
loop_
_space_group_symop_operation_xyz
'x,y,z'
'-x,-y,-z'
loop_
_atom_site_label
_atom_site_fract_x
_atom_site_fract_y
_atom_site_fract_z
V1 0.115 0.226 0.118
V2 0.285 0.572 0.406
V3 0.332 0.663 0.088
Cu1 0.483 0.061 0.354
O1 0.000 0.000 0.000
O2 0.108 0.190 0.274
O3 0.190 0.379 0.963
O4 0.243 0.484 0.572
O5 0.258 0.518 0.226
O6 0.368 0.738 0.914
O7 0.402 0.801 0.465
O8 0.432 0.865 0.204
```

Properties
- calculated volume (A^3/atom) = 12.09
- formation energy from the elements (eV/atom) = -2.12
- total DFT energy (no corrections) (eV/atom) = -7.18


This record from Materials Project describes an optimized crystal structure of V2CuO8. The functional is PBE with a Hubbard U.

Geometry as CIF:
```
data_V2CuO8
_chemical_formula_sum 'V4 Cu2 O16'
_cell_length_a 5.757
_cell_length_b 5.654
_cell_length_c 10.999
_cell_angle_alpha 90.00
_cell_angle_beta 91.83
_cell_angle_gamma 90.00
_space_group_name_H-M_alt 'P 1 2/c 1'
_space_group_IT_number 13
loop_
_space_group_symop_operation_xyz
'x,y,z'
'-x,-y,-z'
'-x,y,-z+1/2'
'x,-y,z+1/2'
loop_
_atom_site_label
_atom_site_fract_x
_atom_site_fract_y
_atom_site_fract_z
V1 0.234 0.050 0.160
Cu1 0.000 0.500 0.000
O1 0.000 0.058 0.750
O2 0.172 0.347 0.121
O3 0.229 0.438 0.904
O4 0.249 0.120 0.540
O5 0.500 0.046 0.250
```

Properties
- calculated volume (A^3/atom) = 16.26
- formation energy from the elements (eV/atom) = -1.39
- total DFT energy (no corrections) (eV/atom) = -6.20


This record from Materials Project describes an optimized crystal structure of V6Cu11O26. The functional is PBE with a Hubbard U.

Geometry as CIF:
```
data_V6Cu11O26
_chemical_formula_sum 'V6 Cu11 O26'
_cell_length_a 8.183
_cell_length_b 8.310
_cell_length_c 8.325
_cell_angle_alpha 106.22
_cell_angle_beta 91.59
_cell_angle_gamma 107.10
_space_group_name_H-M_alt 'P -1'
_space_group_IT_number 2
loop_
_space_group_symop_operation_xyz
'x,y,z'
'-x,-y,-z'
loop_
_atom_site_label
_atom_site_fract_x
_atom_site_fract_y
_atom_site_fract_z
V1 0.066 0.256 0.407
V2 0.235 0.563 0.914
V3 0.419 0.061 0.310
Cu1 0.001 0.162 0.792
Cu2 0.218 0.643 0.336
Cu3 0.223 0.989 0.922
Cu4 0.355 0.353 0.130
Cu5 0.368 0.244 0.711
Cu6 0.500 0.500 0.500
O1 0.002 0.074 0.214
O2 0.033 0.407 0.834
O3 0.108 0.678 0.537
O4 0.128 0.177 0.555
O5 0.217 0.764 0.928
O6 0.234 0.219 0.903
O7 0.234 0.887 0.314
O8 0.259 0.428 0.377
O9 0.316 0.571 0.124
O10 0.384 0.130 0.133
O11 0.387 0.505 0.778
O12 0.413 0.025 0.712
O13 0.473 0.252 0.496
```

Properties
- calculated volume (A^3/atom) = 12.00
- formation energy from the elements (eV/atom) = -1.58
- total DFT energy (no corrections) (eV/atom) = -6.23


This record from Materials Project describes an optimized crystal structure of V2Cu3O9. The functional is PBE with a Hubbard U.

Geometry as CIF:
```
data_V2Cu3O9
_chemical_formula_sum 'V4 Cu6 O18'
_cell_length_a 7.610
_cell_length_b 6.557
_cell_length_c 7.787
_cell_angle_alpha 90.00
_cell_angle_beta 93.55
_cell_angle_gamma 90.00
_space_group_name_H-M_alt 'P 1 21/m 1'
_space_group_IT_number 11
loop_
_space_group_symop_operation_xyz
'x,y,z'
'-x,-y,-z'
'-x,y+1/2,-z'
'x,-y+1/2,z'
loop_
_atom_site_label
_atom_site_fract_x
_atom_site_fract_y
_atom_site_fract_z
V1 0.165 0.250 0.289
V2 0.233 0.250 0.839
Cu1 0.174 0.750 0.417
Cu2 0.339 0.750 0.800
Cu3 0.500 0.000 0.500
O1 0.040 0.250 0.717
O2 0.047 0.750 0.666
O3 0.183 0.250 0.061
O4 0.268 0.031 0.384
O5 0.289 0.750 0.019
O6 0.361 0.035 0.797
O7 0.400 0.750 0.566
```

Properties
- calculated volume (A^3/atom) = 13.85
- formation energy from the elements (eV/atom) = -1.49
- total DFT energy (no corrections) (eV/atom) = -6.17


This record from Materials Project describes an optimized crystal structure of V2Cu3O11. The functional is PBE with a Hubbard U.

Geometry as CIF:
```
data_V2Cu3O11
_chemical_formula_sum 'V4 Cu6 O22'
_cell_length_a 10.829
_cell_length_b 5.617
_cell_length_c 7.354
_cell_angle_alpha 90.00
_cell_angle_beta 97.36
_cell_angle_gamma 90.00
_space_group_name_H-M_alt 'C 1 2/m 1'
_space_group_IT_number 12
loop_
_space_group_symop_operation_xyz
'x,y,z'
'-x,-y,-z'
'-x,y,-z'
'x,-y,z'
'x+1/2,y+1/2,z'
'-x+1/2,-y+1/2,-z'
'-x+1/2,y+1/2,-z'
'x+1/2,-y+1/2,z'
loop_
_atom_site_label
_atom_site_fract_x
_atom_site_fract_y
_atom_site_fract_z
V1 0.006 0.000 0.244
Cu1 0.000 0.500 0.500
Cu2 0.250 0.250 0.500
O1 0.000 0.000 0.000
O2 0.067 0.242 0.685
O3 0.154 0.500 0.398
O4 0.168 0.000 0.357
O5 0.177 0.500 0.029
```

Properties
- calculated volume (A^3/atom) = 13.86
- formation energy from the elements (eV/atom) = -1.02
- total DFT energy (no corrections) (eV/atom) = -5.64


This record from Materials Project describes an optimized crystal structure of VCuO2. The functional is PBE with a Hubbard U.

Geometry as CIF:
```
data_VCuO2
_chemical_formula_sum 'V2 Cu2 O4'
_cell_length_a 3.0499
_cell_length_b 3.0499
_cell_length_c 11.5881
_cell_angle_alpha 90.00
_cell_angle_beta 90.00
_cell_angle_gamma 120.00
_space_group_name_H-M_alt 'P 63/m m c'
_space_group_IT_number 194
_space_group_name_Hall '-P 6c 2c'
loop_
_atom_site_label
_atom_site_fract_x
_atom_site_fract_y
_atom_site_fract_z
V1 0.0000 0.0000 0.0000
Cu1 0.3333 0.6667 0.2500
O1 0.3333 0.6667 0.0906
```

Properties
- calculated volume (A^3/atom) = 11.67
- formation energy from the elements (eV/atom) = -1.85
- total DFT energy (no corrections) (eV/atom) = -6.85